32
Lattice="5.1328 -5.7809 0.0000 5.1328 5.7809 0.0000 -1.3782 0.0000 7.6069" Properties=species:S:1:pos:R:3 comment="Rb3ScH6O6 (PBE, relaxed)" total_magnetization_mub_per_atom=0.0000 ef_ev_per_atom=-1.844 pbc="T T T"
Rb 7.3546 -1.3545 1.9017
Rb 3.3363 -2.2132 6.5964
Rb 4.8619 3.5677 4.8140
Rb 1.5327 1.3545 5.7052
Rb 5.5510 2.2132 1.0105
Rb 4.0254 -3.5677 2.7929
Sc 0.0000 0.0000 0.0000
Sc 4.4437 0.0000 3.8035
H 3.8865 -0.2740 1.2311
H 2.1794 -1.2416 3.2255
H 2.4880 1.5156 2.8649
H 0.5572 -0.2740 2.5723
H 1.9556 1.5156 0.9385
H 2.2643 -1.2416 0.5780
H 5.0009 0.2740 6.3758
H 6.7079 1.2416 4.3814
H 6.3993 -1.5156 4.7420
H 8.3301 0.2740 5.0346
H 6.9317 -1.5156 6.6684
H 6.6231 1.2416 7.0289
O 4.5402 -0.7416 1.7790
O 2.5612 -1.0155 4.0911
O 3.3964 1.7571 3.1153
O 5.0362 5.0393 2.0245
O 6.1800 -4.0238 0.6882
O 0.5043 -1.0155 7.3192
O 4.3471 0.7416 5.8279
O 6.3262 1.0155 3.5158
O 5.4909 -1.7571 4.4917
O 3.8511 -5.0393 5.5824
O 2.7073 4.0238 6.9187
O 8.3830 1.0155 0.2877